Entry 1:
A relaxed ZnP2H4O4 crystal, computed with PBE.

## Properties
Formation energy from the elements: -1.35 eV per atom

The structure in CIF format:
```
data_ZnP2H4O4
_chemical_formula_sum 'Zn2 P4 H8 O8'
_symmetry_space_group_name_H-M 'P m m a'
_symmetry_Int_Tables_number 51
_symmetry_space_group_name_Hall '-P 2a 2a'
_cell_length_a 6.558
_cell_length_b 5.477
_cell_length_c 7.507
_cell_angle_alpha 90.00
_cell_angle_beta 90.00
_cell_angle_gamma 90.00
loop_
_atom_site_label
_atom_site_fract_x
_atom_site_fract_y
_atom_site_fract_z
Zn1 0.000 0.000 0.000
P1 0.250 0.000 0.372
P2 0.250 0.500 0.858
H1 0.077 0.500 0.746
H2 0.250 0.202 0.491
O1 0.050 0.000 0.267
O2 0.250 0.262 0.966
```

***

Entry 2:
A relaxed Nd3Ga crystal, computed with PBE.

## Properties
Formation energy from the elements: -0.24 eV per atom

The structure in CIF format:
```
data_Nd3Ga
_chemical_formula_sum 'Nd3 Ga1'
_symmetry_space_group_name_H-M 'P m -3 m'
_symmetry_Int_Tables_number 221
_symmetry_space_group_name_Hall '-P 4 2 3'
_cell_length_a 4.864
_cell_length_b 4.864
_cell_length_c 4.864
_cell_angle_alpha 90.00
_cell_angle_beta 90.00
_cell_angle_gamma 90.00
loop_
_atom_site_label
_atom_site_fract_x
_atom_site_fract_y
_atom_site_fract_z
Nd1 0.000 0.000 0.500
Ga1 0.500 0.500 0.500
```

***

Entry 3:
A relaxed MgCu2Si4O12 crystal, computed with PBE.

## Properties
Formation energy from the elements: -2.56 eV per atom

The structure in CIF format:
```
data_MgCu2Si4O12
_chemical_formula_sum 'Mg1 Cu2 Si4 O12'
_symmetry_space_group_name_H-M 'P -1'
_symmetry_Int_Tables_number 2
_symmetry_space_group_name_Hall '-P 1'
_cell_length_a 5.285
_cell_length_b 5.746
_cell_length_c 7.295
_cell_angle_alpha 84.84
_cell_angle_beta 80.23
_cell_angle_gamma 84.05
loop_
_atom_site_label
_atom_site_fract_x
_atom_site_fract_y
_atom_site_fract_z
Mg1 0.000 0.000 0.000
Cu1 0.493 0.177 0.815
Si1 0.221 0.412 0.198
Si2 0.307 0.783 0.620
O1 0.076 0.609 0.699
O2 0.243 0.006 0.754
O3 0.253 0.679 0.098
O4 0.270 0.209 0.045
O5 0.295 0.877 0.404
O6 0.423 0.369 0.347
```

***

Entry 4:
A relaxed BaSrLaBiO6 crystal, computed with PBE.

## Properties
Formation energy from the elements: -2.70 eV per atom

The structure in CIF format:
```
data_BaSrLaBiO6
_chemical_formula_sum 'Ba2 Sr2 La2 Bi2 O12'
_symmetry_space_group_name_H-M 'I -4'
_symmetry_Int_Tables_number 82
_symmetry_space_group_name_Hall 'I -4'
_cell_length_a 6.167
_cell_length_b 6.167
_cell_length_c 8.900
_cell_angle_alpha 90.00
_cell_angle_beta 90.00
_cell_angle_gamma 90.00
loop_
_atom_site_label
_atom_site_fract_x
_atom_site_fract_y
_atom_site_fract_z
Ba1 0.000 0.000 0.000
Sr1 0.000 0.500 0.750
La1 0.000 0.000 0.500
Bi1 0.000 0.500 0.250
O1 0.000 0.500 0.012
O2 0.146 0.815 0.279
```

***

Entry 5:
A relaxed Pr3RuCl3 crystal, computed with PBE.

## Properties
Formation energy from the elements: -1.67 eV per atom

The structure in CIF format:
```
data_Pr3RuCl3
_chemical_formula_sum 'Pr12 Ru4 Cl12'
_symmetry_space_group_name_H-M 'P n m a'
_symmetry_Int_Tables_number 62
_symmetry_space_group_name_Hall '-P 2ac 2n'
_cell_length_a 14.516
_cell_length_b 4.107
_cell_length_c 12.459
_cell_angle_alpha 90.00
_cell_angle_beta 90.00
_cell_angle_gamma 90.00
loop_
_atom_site_label
_atom_site_fract_x
_atom_site_fract_y
_atom_site_fract_z
Pr1 0.090 0.250 0.163
Pr2 0.099 0.250 0.671
Pr3 0.145 0.750 0.416
Ru1 0.016 0.250 0.404
Cl1 0.044 0.250 0.899
Cl2 0.213 0.750 0.057
Cl3 0.235 0.750 0.777
```

***

Entry 6:
A relaxed NaMnSe2 crystal, computed with PBE.

## Properties
Formation energy from the elements: -0.77 eV per atom

The structure in CIF format:
```
data_NaMnSe2
_chemical_formula_sum 'Na1 Mn1 Se2'
_symmetry_space_group_name_H-M 'P 3 m 1'
_symmetry_Int_Tables_number 156
_symmetry_space_group_name_Hall 'P 3 -2"'
_cell_length_a 4.0258
_cell_length_b 4.0258
_cell_length_c 7.2341
_cell_angle_alpha 90.00
_cell_angle_beta 90.00
_cell_angle_gamma 120.00
loop_
_atom_site_label
_atom_site_fract_x
_atom_site_fract_y
_atom_site_fract_z
Na1 0.0000 0.0000 0.0000
Mn1 0.3333 0.6667 0.5615
Se1 0.3333 0.6667 0.2442
Se2 0.6667 0.3333 0.7036
```